# 1
Density functional theory data (PBE) for a geometry-optimized Nb3Si structure.

Cell lengths 10.3529, 10.3529, 5.1662 Å; angles 90.00, 90.00, 90.00 degrees
Last column: nearest neighbours and their distance in Å.
Space group I-4 (No. 82)
Symmetry-distinct sites (fractional):
Nb1 0.0184 0.1425 0.2351 x8  4 Si 2.61-2.70, 1 Nb 2.92
Nb2 0.0817 0.5993 0.0105 x8  2 Si 2.61-2.73, 1 Nb 2.66
Nb3 0.1880 0.7170 0.4977 x8  3 Si 2.61-2.87, 1 Nb 2.92
Si1 0.0315 0.2077 0.7303 x8  9 Nb 2.61-2.87

Properties
VASP energy: -298.8 eV per cell


# 2
Density functional theory data (PBE) for a geometry-optimized Nb3Si structure.

Cell lengths 5.1279, 5.1279, 5.1279 Å; angles 90.00, 90.00, 90.00 degrees
Last column: nearest neighbours and their distance in Å.
Space group Pm-3n (No. 223)
Symmetry-distinct sites (fractional):
Nb1 0.0000 0.2500 0.5000 x6  2 Nb 2.56, 4 Si 2.87
Si1 0.0000 0.0000 0.0000 x2  12 Nb 2.87

Properties
VASP energy: -74.2 eV per cell


# 3
Density functional theory data (PBE) for a geometry-optimized Nb3Si structure.

Cell lengths 8.1367, 3.2138, 5.4584 Å; angles 90.00, 90.00, 90.00 degrees
Last column: nearest neighbours and their distance in Å.
Space group Amm2 (No. 38)
Symmetry-distinct sites (fractional):
Nb1 0.0000 0.0000 0.0000 x2  6 Nb 2.83-2.84
Nb2 0.2655 0.0000 0.3335 x4  3 Si 2.65, 3 Nb 2.83-2.84
Si1 0.5000 0.0000 0.6699 x2  6 Nb 2.65

Properties
VASP energy: -71.1 eV per cell


# 4
Density functional theory data (PBE) for a geometry-optimized Nb3Si structure.

Cell lengths 10.2744, 10.2744, 5.2189 Å; angles 90.00, 90.00, 90.00 degrees
Last column: nearest neighbours and their distance in Å.
Space group P4_2/n (No. 86, origin choice 2)
Symmetry-distinct sites (fractional):
Nb1 0.0363 0.5599 0.2358 x8  3 Si 2.59-2.87, 2 Nb 2.85-2.90
Nb2 0.1039 0.2341 0.0232 x8  4 Si 2.60-2.71, 1 Nb 2.90
Nb3 0.1533 0.6650 0.7163 x8  2 Si 2.62-2.67, 1 Nb 2.65
Si1 0.0443 0.2222 0.5294 x8  9 Nb 2.59-2.87

Properties
VASP energy: -299.9 eV per cell